(1)
A plane-wave DFT calculation with GGA+U was carried out for an optimized crystal structure of Li2FeCo2O6.

Cell lengths 5.057, 5.095, 10.147 Å; angles 91.04, 90.48, 58.96 degrees
Sites, in units of the cell vectors:
Li (0.494, 0.853, 0.250)
O (0.633, 0.012, 0.104)
O (0.351, 0.681, 0.106)
Fe (0.996, 0.005, 0.000)
O (0.364, 0.964, 0.888)
Li (0.494, 0.149, 0.750)
Co (0.683, 0.162, 0.499)
O (0.355, 0.149, 0.401)
O (0.651, 0.824, 0.607)
Co (0.343, 0.827, 0.501)
Co (0.318, 0.339, 0.999)
O (0.638, 0.530, 0.387)
O (0.648, 0.345, 0.900)
Li (0.461, 0.374, 0.251)
Li (0.540, 0.629, 0.748)
O (0.368, 0.494, 0.603)
O (0.013, 0.825, 0.408)
O (0.013, 0.163, 0.594)
Co (0.658, 0.672, 0.000)
Fe (0.005, 0.495, 0.500)
O (0.989, 0.665, 0.908)
O (0.987, 0.345, 0.094)

Results
Spin magnetization   0.55 μB per atom
Calculated volume   10.179 A^3/atom
Density   4.206 g/cm³
Energy of formation from the pure elements   -1.581 eV per atom
Total DFT energy (no corrections)   -5.812 eV/atom
Crystal system   triclinic
Distance to the lowest polymorph of the same formula   38 meV per atom


(2)
A plane-wave DFT calculation with GGA+U was carried out for an optimized crystal structure of Li2FeCoO4.

Cell lengths 5.759, 5.759, 5.798 Å; angles 60.69, 60.69, 90.12 degrees
Sites, in units of the cell vectors:
O (0.218, 0.232, 0.032)
Li (0.000, 0.500, 0.500)
O (0.226, 0.748, 0.003)
O (0.782, 0.768, 0.968)
Li (0.500, 0.500, 0.500)
Li (0.500, 0.500, 0.000)
O (0.768, 0.782, 0.468)
O (0.774, 0.252, 0.997)
Co (0.000, 0.000, 0.000)
O (0.748, 0.226, 0.503)
Li (0.500, 0.000, 0.000)
Fe (0.500, 0.000, 0.500)
O (0.232, 0.218, 0.532)
Fe (0.000, 0.500, 0.000)
O (0.252, 0.774, 0.497)
Co (0.000, 0.000, 0.500)

Results
Spin magnetization   1.12 μB per atom
Calculated volume   8.664 A^3/atom
Density   4.615 g/cm³
Energy of formation from the pure elements   -1.719 eV per atom
Total DFT energy (no corrections)   -5.788 eV/atom
Crystal system   monoclinic
Distance to the lowest polymorph of the same formula   55 meV per atom